1.
First-principles (meta-GGA r2SCAN) data for Sr3Al2As4 after structural relaxation, as listed in the Materials Project database.

Computed properties:
formation energy = -1.155 eV/atom

Lattice parameters (Å, degrees): 8.572 8.572 6.844 89.56 89.56 75.31
Sites, in units of the cell vectors:
As 0.059 0.707 0.024
As 0.707 0.059 0.524
As 0.941 0.293 0.976
As 0.259 0.422 0.575
As 0.741 0.578 0.425
As 0.578 0.741 0.925
As 0.293 0.941 0.476
As 0.422 0.259 0.075
Al 0.582 0.828 0.581
Al 0.172 0.418 0.919
Al 0.828 0.582 0.081
Al 0.418 0.172 0.419
Sr 0.598 0.402 0.750
Sr 0.252 0.993 0.962
Sr 0.402 0.598 0.250
Sr 0.993 0.252 0.462
Sr 0.007 0.748 0.538
Sr 0.748 0.007 0.038

=====

2.
First-principles (meta-GGA r2SCAN) data for Sr3AlAs3 after structural relaxation, as listed in the Materials Project database.

Computed properties:
formation energy = -1.256 eV/atom

Lattice parameters (Å, degrees): 10.161 10.161 12.748 90.00 90.00 142.10
Sites, in units of the cell vectors:
Sr 0.489 0.135 0.869
Sr 0.989 0.635 0.631
Sr 0.511 0.865 0.131
Sr 0.175 0.175 0.651
Sr 0.675 0.675 0.849
Sr 0.135 0.489 0.869
Sr 0.865 0.511 0.131
Sr 0.365 0.011 0.369
Sr 0.635 0.989 0.631
Sr 0.325 0.325 0.151
Sr 0.011 0.365 0.369
Sr 0.825 0.825 0.349
As 0.545 0.862 0.380
As 0.862 0.545 0.380
As 0.209 0.209 0.898
As 0.638 0.955 0.880
As 0.362 0.045 0.120
As 0.791 0.791 0.102
As 0.455 0.138 0.620
As 0.955 0.638 0.880
As 0.138 0.455 0.620
As 0.709 0.709 0.602
As 0.045 0.362 0.120
As 0.291 0.291 0.398
Al 0.915 0.085 0.000
Al 0.415 0.585 0.500
Al 0.085 0.915 0.000
Al 0.585 0.415 0.500

=====

3.
First-principles (meta-GGA r2SCAN) data for AlAu after structural relaxation, as listed in the Materials Project database.

Computed properties:
formation energy = -0.423 eV/atom

Lattice parameters (Å, degrees): 3.503 6.269 6.270 91.52 90.00 90.00
Sites, in units of the cell vectors:
Au 0.250 0.187 0.000
Au 0.250 0.311 0.485
Au 0.750 0.813 0.000
Au 0.750 0.689 0.515
Al 0.250 0.922 0.322
Al 0.250 0.562 0.824
Al 0.750 0.078 0.678
Al 0.750 0.438 0.176

=====

4.
First-principles (meta-GGA r2SCAN) data for AlAu4 after structural relaxation, as listed in the Materials Project database.

Computed properties:
formation energy = -0.224 eV/atom

Lattice parameters (Å, degrees): 6.978 6.978 6.978 90.00 90.00 90.00
Sites, in units of the cell vectors:
Al 0.436 0.936 0.564
Al 0.064 0.064 0.064
Al 0.564 0.436 0.936
Al 0.936 0.564 0.436
Au 0.613 0.285 0.551
Au 0.182 0.818 0.318
Au 0.887 0.715 0.051
Au 0.449 0.113 0.215
Au 0.318 0.182 0.818
Au 0.715 0.051 0.887
Au 0.682 0.682 0.682
Au 0.285 0.551 0.613
Au 0.387 0.785 0.949
Au 0.215 0.449 0.113
Au 0.785 0.949 0.387
Au 0.051 0.887 0.715
Au 0.818 0.318 0.182
Au 0.949 0.387 0.785
Au 0.551 0.613 0.285
Au 0.113 0.215 0.449

=====

5.
First-principles (meta-GGA r2SCAN) data for AlAu2 after structural relaxation, as listed in the Materials Project database.

Computed properties:
formation energy = -0.317 eV/atom

Lattice parameters (Å, degrees): 3.343 3.343 4.994 109.55 109.55 90.00
Sites, in units of the cell vectors:
Al 0.000 0.000 0.000
Au 0.656 0.656 0.313
Au 0.344 0.344 0.687

=====

6.
First-principles (meta-GGA r2SCAN) data for AlAu2 after structural relaxation, as listed in the Materials Project database.

Computed properties:
formation energy = -0.330 eV/atom

Lattice parameters (Å, degrees): 3.215 8.895 17.217 90.00 90.00 90.00
Sites, in units of the cell vectors:
Al 0.000 0.021 0.798
Al 0.500 0.479 0.298
Al 0.500 0.521 0.702
Al 0.500 0.529 0.098
Al 0.000 0.000 0.000
Al 0.000 0.979 0.202
Al 0.500 0.471 0.902
Al 0.000 0.971 0.598
Al 0.500 0.500 0.500
Al 0.000 0.029 0.402
Au 0.000 0.330 0.787
Au 0.000 0.670 0.213
Au 0.000 0.656 0.986
Au 0.000 0.362 0.186
Au 0.500 0.844 0.486
Au 0.500 0.170 0.287
Au 0.000 0.365 0.607
Au 0.500 0.138 0.686
Au 0.000 0.674 0.595
Au 0.500 0.830 0.713
Au 0.500 0.865 0.893
Au 0.000 0.344 0.014
Au 0.500 0.826 0.095
Au 0.000 0.326 0.405
Au 0.500 0.174 0.905
Au 0.000 0.635 0.393
Au 0.500 0.156 0.514
Au 0.500 0.135 0.107
Au 0.000 0.638 0.814
Au 0.500 0.862 0.314

=====

7.
First-principles (meta-GGA r2SCAN) data for AlAu2 after structural relaxation, as listed in the Materials Project database.

Computed properties:
formation energy = -0.333 eV/atom

Lattice parameters (Å, degrees): 3.232 6.845 8.931 90.00 90.00 90.00
Sites, in units of the cell vectors:
Au 0.250 0.085 0.616
Au 0.750 0.851 0.077
Au 0.750 0.915 0.384
Au 0.750 0.351 0.423
Au 0.250 0.649 0.577
Au 0.250 0.585 0.884
Au 0.750 0.415 0.116
Au 0.250 0.149 0.923
Al 0.750 0.867 0.777
Al 0.750 0.367 0.723
Al 0.250 0.133 0.223
Al 0.250 0.633 0.277

=====

8.
First-principles (meta-GGA r2SCAN) data for CaAlAu after structural relaxation, as listed in the Materials Project database.

Computed properties:
formation energy = -0.759 eV/atom

Lattice parameters (Å, degrees): 4.510 7.306 7.744 90.00 90.00 90.00
Sites, in units of the cell vectors:
Au 0.750 0.208 0.885
Au 0.750 0.708 0.615
Au 0.250 0.792 0.115
Au 0.250 0.292 0.385
Al 0.750 0.348 0.568
Al 0.250 0.652 0.432
Al 0.750 0.848 0.932
Al 0.250 0.152 0.068
Ca 0.750 0.484 0.181
Ca 0.750 0.984 0.319
Ca 0.250 0.016 0.681
Ca 0.250 0.516 0.819

=====

9.
First-principles (meta-GGA r2SCAN) data for CeAl3Au after structural relaxation, as listed in the Materials Project database.

Computed properties:
formation energy = -0.691 eV/atom

Lattice parameters (Å, degrees): 6.251 6.251 6.251 139.59 139.59 58.48
Sites, in units of the cell vectors:
Al 0.401 0.401 0.000
Al 0.753 0.253 0.500
Al 0.253 0.753 0.500
Au 0.629 0.629 0.000
Ce 0.991 0.991 0.000

=====

10.
First-principles (meta-GGA r2SCAN) data for CeAlAu after structural relaxation, as listed in the Materials Project database.

Computed properties:
formation energy = -0.781 eV/atom

Lattice parameters (Å, degrees): 4.594 7.574 7.725 89.99 90.00 90.00
Sites, in units of the cell vectors:
Ce 0.250 0.510 0.806
Ce 0.250 0.010 0.695
Ce 0.750 0.990 0.305
Ce 0.750 0.490 0.195
Al 0.750 0.329 0.581
Al 0.250 0.171 0.081
Al 0.750 0.829 0.919
Al 0.250 0.671 0.419
Au 0.750 0.202 0.908
Au 0.250 0.298 0.408
Au 0.250 0.798 0.092
Au 0.750 0.702 0.592

=====

11.
First-principles (meta-GGA r2SCAN) data for CeAl2Au2 after structural relaxation, as listed in the Materials Project database.

Computed properties:
formation energy = -0.803 eV/atom

Lattice parameters (Å, degrees): 4.425 4.425 10.403 90.00 90.00 90.00
Sites, in units of the cell vectors:
Ce 0.000 0.500 0.250
Ce 0.500 0.000 0.750
Au 0.500 0.000 0.370
Au 0.000 0.000 0.000
Au 0.500 0.500 0.000
Au 0.000 0.500 0.630
Al 0.500 0.500 0.500
Al 0.000 0.000 0.500
Al 0.000 0.500 0.871
Al 0.500 0.000 0.129

=====

12.
First-principles (meta-GGA r2SCAN) data for AlCuAu2 after structural relaxation, as listed in the Materials Project database.

Computed properties:
formation energy = -0.268 eV/atom

Lattice parameters (Å, degrees): 4.404 4.404 4.404 60.00 60.00 60.00
Sites, in units of the cell vectors:
Au 0.000 0.000 0.000
Au 0.500 0.500 0.500
Cu 0.750 0.750 0.750
Al 0.250 0.250 0.250

=====

Number 1: total moment 0.0 μB per formula unit. Number 2: total moment 0.0 μB per formula unit. Number 3: total moment 0.0 μB per formula unit. Number 4: total moment 0.0 μB per formula unit. Number 5: total moment 0.0 μB per formula unit. Number 6: total moment 0.0 μB per formula unit. Number 7: total moment 0.0 μB per formula unit. Number 8: total moment 0.0 μB per formula unit. Number 9: total moment 1.0 μB per formula unit. Number 10: total moment 1.2 μB per formula unit. Number 11: total moment 1.0 μB per formula unit. Number 12: total moment 0.0 μB per formula unit.